(1)
{
  "formula": "RbVH24S2O20",
  "functional": "PBE with a Hubbard U",
  "state": "relaxed",
  "lattice_angstrom": [[12.403, 0.000, 0.000], [0.000, 12.403, 0.000], [0.000, 0.000, 12.403]],
  "species": ["Rb", "Rb", "Rb", "Rb", "V", "V", "V", "V", "H", "H", "H", "H", "H", "H", "H", "H", "H", "H", "H", "H", "H", "H", "H", "H", "H", "H", "H", "H", "H", "H", "H", "H", "H", "H", "H", "H", "H", "H", "H", "H", "H", "H", "H", "H", "H", "H", "H", "H", "H", "H", "H", "H", "H", "H", "H", "H", "H", "H", "H", "H", "H", "H", "H", "H", "H", "H", "H", "H", "H", "H", "H", "H", "H", "H", "H", "H", "H", "H", "H", "H", "H", "H", "H", "H", "H", "H", "H", "H", "H", "H", "H", "H", "H", "H", "H", "H", "H", "H", "H", "H", "H", "H", "H", "H", "S", "S", "S", "S", "S", "S", "S", "S", "O", "O", "O", "O", "O", "O", "O", "O", "O", "O", "O", "O", "O", "O", "O", "O", "O", "O", "O", "O", "O", "O", "O", "O", "O", "O", "O", "O", "O", "O", "O", "O", "O", "O", "O", "O", "O", "O", "O", "O", "O", "O", "O", "O", "O", "O", "O", "O", "O", "O", "O", "O", "O", "O", "O", "O", "O", "O", "O", "O", "O", "O", "O", "O", "O", "O", "O", "O", "O", "O", "O", "O", "O", "O", "O", "O", "O", "O", "O", "O"],
  "fractional_positions": [[0.000, 0.000, 0.000], [0.000, 0.500, 0.500], [0.500, 0.000, 0.500], [0.500, 0.500, 0.000], [0.000, 0.000, 0.500], [0.000, 0.500, 0.000], [0.500, 0.000, 0.000], [0.500, 0.500, 0.500], [0.017, 0.712, 0.062], [0.017, 0.721, 0.720], [0.017, 0.779, 0.220], [0.017, 0.788, 0.562], [0.025, 0.207, 0.564], [0.025, 0.293, 0.064], [0.062, 0.017, 0.712], [0.062, 0.483, 0.212], [0.064, 0.025, 0.293], [0.064, 0.475, 0.793], [0.128, 0.705, 0.663], [0.128, 0.795, 0.163], [0.163, 0.128, 0.795], [0.163, 0.372, 0.295], [0.205, 0.663, 0.372], [0.205, 0.837, 0.872], [0.207, 0.564, 0.025], [0.207, 0.936, 0.525], [0.212, 0.062, 0.483], [0.212, 0.438, 0.983], [0.220, 0.017, 0.779], [0.220, 0.483, 0.279], [0.221, 0.720, 0.483], [0.221, 0.780, 0.983], [0.279, 0.220, 0.483], [0.279, 0.280, 0.983], [0.280, 0.517, 0.779], [0.280, 0.983, 0.279], [0.288, 0.562, 0.483], [0.288, 0.938, 0.983], [0.293, 0.064, 0.025], [0.293, 0.436, 0.525], [0.295, 0.163, 0.372], [0.295, 0.337, 0.872], [0.337, 0.628, 0.795], [0.337, 0.872, 0.295], [0.372, 0.205, 0.663], [0.372, 0.295, 0.163], [0.436, 0.525, 0.293], [0.436, 0.975, 0.793], [0.438, 0.517, 0.712], [0.438, 0.983, 0.212], [0.475, 0.707, 0.564], [0.475, 0.793, 0.064], [0.483, 0.212, 0.062], [0.483, 0.221, 0.720], [0.483, 0.279, 0.220], [0.483, 0.288, 0.562], [0.517, 0.712, 0.438], [0.517, 0.721, 0.780], [0.517, 0.779, 0.280], [0.517, 0.788, 0.938], [0.525, 0.207, 0.936], [0.525, 0.293, 0.436], [0.562, 0.017, 0.788], [0.562, 0.483, 0.288], [0.564, 0.025, 0.207], [0.564, 0.475, 0.707], [0.628, 0.705, 0.837], [0.628, 0.795, 0.337], [0.663, 0.128, 0.705], [0.663, 0.372, 0.205], [0.705, 0.663, 0.128], [0.705, 0.837, 0.628], [0.707, 0.564, 0.475], [0.707, 0.936, 0.975], [0.712, 0.062, 0.017], [0.712, 0.438, 0.517], [0.720, 0.017, 0.721], [0.720, 0.483, 0.221], [0.721, 0.720, 0.017], [0.721, 0.780, 0.517], [0.779, 0.220, 0.017], [0.779, 0.280, 0.517], [0.780, 0.517, 0.721], [0.780, 0.983, 0.221], [0.788, 0.562, 0.017], [0.788, 0.938, 0.517], [0.793, 0.064, 0.475], [0.793, 0.436, 0.975], [0.795, 0.163, 0.128], [0.795, 0.337, 0.628], [0.837, 0.628, 0.705], [0.837, 0.872, 0.205], [0.872, 0.205, 0.837], [0.872, 0.295, 0.337], [0.936, 0.525, 0.207], [0.936, 0.975, 0.707], [0.938, 0.517, 0.788], [0.938, 0.983, 0.288], [0.975, 0.707, 0.936], [0.975, 0.793, 0.436], [0.983, 0.212, 0.438], [0.983, 0.221, 0.780], [0.983, 0.279, 0.280], [0.983, 0.288, 0.938], [0.172, 0.172, 0.172], [0.172, 0.328, 0.672], [0.328, 0.672, 0.172], [0.328, 0.828, 0.672], [0.672, 0.172, 0.328], [0.672, 0.328, 0.828], [0.828, 0.672, 0.328], [0.828, 0.828, 0.828], [0.001, 0.001, 0.337], [0.001, 0.163, 0.501], [0.001, 0.337, 0.001], [0.001, 0.499, 0.837], [0.050, 0.699, 0.651], [0.050, 0.801, 0.151], [0.060, 0.218, 0.165], [0.060, 0.282, 0.665], [0.151, 0.050, 0.801], [0.151, 0.450, 0.301], [0.163, 0.501, 0.001], [0.163, 0.999, 0.501], [0.165, 0.060, 0.218], [0.165, 0.440, 0.718], [0.199, 0.651, 0.450], [0.199, 0.849, 0.950], [0.218, 0.165, 0.060], [0.218, 0.335, 0.560], [0.241, 0.241, 0.241], [0.241, 0.259, 0.741], [0.259, 0.741, 0.241], [0.259, 0.759, 0.741], [0.282, 0.665, 0.060], [0.282, 0.835, 0.560], [0.301, 0.151, 0.450], [0.301, 0.349, 0.950], [0.335, 0.560, 0.218], [0.335, 0.940, 0.718], [0.337, 0.001, 0.001], [0.337, 0.499, 0.501], [0.349, 0.550, 0.801], [0.349, 0.950, 0.301], [0.440, 0.718, 0.165], [0.440, 0.782, 0.665], [0.450, 0.199, 0.651], [0.450, 0.301, 0.151], [0.499, 0.501, 0.337], [0.499, 0.663, 0.501], [0.499, 0.837, 0.001], [0.499, 0.999, 0.837], [0.501, 0.001, 0.163], [0.501, 0.163, 0.999], [0.501, 0.337, 0.499], [0.501, 0.499, 0.663], [0.550, 0.699, 0.849], [0.550, 0.801, 0.349], [0.560, 0.218, 0.335], [0.560, 0.282, 0.835], [0.651, 0.050, 0.699], [0.651, 0.450, 0.199], [0.663, 0.501, 0.499], [0.663, 0.999, 0.999], [0.665, 0.060, 0.282], [0.665, 0.440, 0.782], [0.699, 0.651, 0.050], [0.699, 0.849, 0.550], [0.718, 0.165, 0.440], [0.718, 0.335, 0.940], [0.741, 0.241, 0.259], [0.741, 0.259, 0.759], [0.759, 0.741, 0.259], [0.759, 0.759, 0.759], [0.782, 0.665, 0.440], [0.782, 0.835, 0.940], [0.801, 0.151, 0.050], [0.801, 0.349, 0.550], [0.835, 0.560, 0.282], [0.835, 0.940, 0.782], [0.837, 0.001, 0.499], [0.837, 0.499, 0.999], [0.849, 0.550, 0.699], [0.849, 0.950, 0.199], [0.940, 0.718, 0.335], [0.940, 0.782, 0.835], [0.950, 0.199, 0.849], [0.950, 0.301, 0.349], [0.999, 0.501, 0.163], [0.999, 0.663, 0.999], [0.999, 0.837, 0.499], [0.999, 0.999, 0.663]],
  "energy_ev_per_cell": -1019.520,
  "spacegroup": "Pa-3 (205)"
}

=====

(2)
{
  "formula": "RbVH6SeO9",
  "functional": "PBE with a Hubbard U",
  "state": "relaxed",
  "lattice_angstrom": [[6.474, 0.000, 0.000], [0.000, 10.231, 0.000], [-2.223, 0.000, 6.543]],
  "species": ["Rb", "Rb", "V", "V", "H", "H", "H", "H", "H", "H", "H", "H", "H", "H", "H", "H", "Se", "Se", "O", "O", "O", "O", "O", "O", "O", "O", "O", "O", "O", "O", "O", "O", "O", "O", "O", "O"],
  "fractional_positions": [[0.186, 0.000, 0.180], [0.814, 0.500, 0.820], [0.121, 0.346, 0.395], [0.879, 0.846, 0.605], [0.027, 0.108, 0.653], [0.186, 0.608, 0.272], [0.276, 0.552, 0.691], [0.312, 0.423, 0.817], [0.362, 0.700, 0.076], [0.479, 0.206, 0.701], [0.521, 0.706, 0.299], [0.638, 0.200, 0.924], [0.688, 0.923, 0.183], [0.724, 0.052, 0.309], [0.814, 0.108, 0.728], [0.973, 0.608, 0.347], [0.423, 0.847, 0.732], [0.577, 0.347, 0.268], [0.039, 0.290, 0.158], [0.063, 0.553, 0.286], [0.169, 0.882, 0.569], [0.187, 0.210, 0.540], [0.215, 0.463, 0.690], [0.364, 0.711, 0.217], [0.428, 0.399, 0.417], [0.448, 0.688, 0.780], [0.481, 0.933, 0.943], [0.519, 0.433, 0.057], [0.552, 0.188, 0.220], [0.572, 0.899, 0.583], [0.636, 0.211, 0.783], [0.785, 0.963, 0.310], [0.813, 0.710, 0.460], [0.831, 0.382, 0.431], [0.937, 0.053, 0.714], [0.961, 0.790, 0.842]],
  "energy_ev_per_cell": -196.741,
  "spacegroup": "P2_1 (4)"
}

=====

(3)
{
  "formula": "VH6SO10",
  "functional": "PBE with a Hubbard U",
  "state": "relaxed",
  "lattice_angstrom": [[7.469, 0.000, 0.000], [2.417, 7.294, 0.000], [1.991, 0.873, 7.600]],
  "species": ["V", "V", "H", "H", "H", "H", "H", "H", "H", "H", "H", "H", "H", "H", "S", "S", "O", "O", "O", "O", "O", "O", "O", "O", "O", "O", "O", "O", "O", "O", "O", "O", "O", "O", "O", "O"],
  "fractional_positions": [[0.218, 0.136, 0.313], [0.782, 0.864, 0.687], [0.051, 0.547, 0.224], [0.112, 0.553, 0.683], [0.285, 0.117, 0.947], [0.384, 0.259, 0.989], [0.415, 0.395, 0.449], [0.464, 0.853, 0.699], [0.536, 0.147, 0.301], [0.585, 0.605, 0.551], [0.616, 0.741, 0.011], [0.715, 0.883, 0.053], [0.888, 0.447, 0.317], [0.949, 0.453, 0.776], [0.068, 0.081, 0.737], [0.932, 0.919, 0.263], [0.014, 0.906, 0.749], [0.024, 0.426, 0.260], [0.073, 0.787, 0.151], [0.074, 0.175, 0.547], [0.263, 0.030, 0.774], [0.312, 0.169, 0.041], [0.329, 0.921, 0.344], [0.406, 0.238, 0.319], [0.408, 0.478, 0.535], [0.489, 0.544, 0.062], [0.511, 0.456, 0.938], [0.592, 0.522, 0.465], [0.594, 0.762, 0.681], [0.671, 0.079, 0.656], [0.688, 0.831, 0.959], [0.737, 0.970, 0.226], [0.926, 0.825, 0.453], [0.927, 0.213, 0.849], [0.976, 0.574, 0.740], [0.986, 0.094, 0.251]],
  "energy_ev_per_cell": -202.091,
  "spacegroup": "P-1 (2)"
}

=====

(4)
{
  "formula": "VH6SO8",
  "functional": "PBE with a Hubbard U",
  "state": "relaxed",
  "lattice_angstrom": [[7.476, 0.000, 0.000], [0.000, 7.497, 0.000], [-4.002, 0.000, 11.612]],
  "species": ["V", "V", "V", "V", "H", "H", "H", "H", "H", "H", "H", "H", "H", "H", "H", "H", "H", "H", "H", "H", "H", "H", "H", "H", "H", "H", "H", "H", "S", "S", "S", "S", "O", "O", "O", "O", "O", "O", "O", "O", "O", "O", "O", "O", "O", "O", "O", "O", "O", "O", "O", "O", "O", "O", "O", "O", "O", "O", "O", "O", "O", "O", "O", "O"],
  "fractional_positions": [[0.194, 0.218, 0.126], [0.194, 0.282, 0.626], [0.806, 0.718, 0.374], [0.806, 0.782, 0.874], [0.018, 0.005, 0.371], [0.018, 0.495, 0.871], [0.159, 0.514, 0.247], [0.159, 0.986, 0.747], [0.311, 0.515, 0.014], [0.311, 0.985, 0.514], [0.322, 0.158, 0.442], [0.322, 0.342, 0.942], [0.436, 0.747, 0.326], [0.436, 0.753, 0.826], [0.480, 0.727, 0.708], [0.480, 0.773, 0.208], [0.520, 0.227, 0.792], [0.520, 0.273, 0.292], [0.564, 0.247, 0.174], [0.564, 0.253, 0.674], [0.678, 0.658, 0.058], [0.678, 0.842, 0.558], [0.689, 0.015, 0.486], [0.689, 0.485, 0.986], [0.841, 0.014, 0.253], [0.841, 0.486, 0.753], [0.982, 0.505, 0.129], [0.982, 0.995, 0.629], [0.259, 0.641, 0.487], [0.259, 0.859, 0.987], [0.741, 0.141, 0.013], [0.741, 0.359, 0.513], [0.069, 0.699, 0.493], [0.069, 0.801, 0.993], [0.111, 0.040, 0.669], [0.111, 0.460, 0.169], [0.174, 0.091, 0.228], [0.174, 0.409, 0.728], [0.246, 0.099, 0.484], [0.246, 0.401, 0.984], [0.263, 0.643, 0.368], [0.263, 0.857, 0.868], [0.300, 0.043, 0.035], [0.300, 0.457, 0.535], [0.403, 0.733, 0.060], [0.403, 0.767, 0.560], [0.470, 0.202, 0.708], [0.470, 0.298, 0.208], [0.530, 0.702, 0.792], [0.530, 0.798, 0.292], [0.597, 0.233, 0.440], [0.597, 0.267, 0.940], [0.700, 0.543, 0.465], [0.700, 0.957, 0.965], [0.737, 0.143, 0.132], [0.737, 0.357, 0.632], [0.754, 0.599, 0.016], [0.754, 0.901, 0.516], [0.826, 0.591, 0.272], [0.826, 0.909, 0.772], [0.889, 0.540, 0.831], [0.889, 0.960, 0.331], [0.931, 0.199, 0.007], [0.931, 0.301, 0.507]],
  "energy_ev_per_cell": -368.748,
  "spacegroup": "P2_1/c (14)"
}

=====

(5)
{
  "formula": "VH12SO11",
  "functional": "PBE with a Hubbard U",
  "state": "relaxed",
  "lattice_angstrom": [[6.226, 0.000, 0.000], [-0.783, 7.521, 0.000], [-2.019, -0.488, 10.039]],
  "species": ["V", "V", "H", "H", "H", "H", "H", "H", "H", "H", "H", "H", "H", "H", "H", "H", "H", "H", "H", "H", "H", "H", "H", "H", "H", "H", "S", "S", "O", "O", "O", "O", "O", "O", "O", "O", "O", "O", "O", "O", "O", "O", "O", "O", "O", "O", "O", "O", "O", "O"],
  "fractional_positions": [[0.070, 0.269, 0.282], [0.930, 0.731, 0.718], [0.012, 0.047, 0.850], [0.125, 0.431, 0.697], [0.132, 0.617, 0.381], [0.175, 0.309, 0.029], [0.193, 0.507, 0.091], [0.230, 0.875, 0.491], [0.259, 0.994, 0.191], [0.294, 0.744, 0.913], [0.344, 0.875, 0.795], [0.395, 0.856, 0.390], [0.482, 0.443, 0.311], [0.500, 0.289, 0.422], [0.500, 0.711, 0.578], [0.518, 0.557, 0.689], [0.605, 0.144, 0.610], [0.656, 0.125, 0.205], [0.706, 0.256, 0.087], [0.741, 0.006, 0.809], [0.770, 0.125, 0.509], [0.807, 0.493, 0.909], [0.825, 0.691, 0.971], [0.868, 0.383, 0.619], [0.875, 0.569, 0.303], [0.988, 0.953, 0.150], [0.437, 0.233, 0.830], [0.563, 0.767, 0.170], [0.023, 0.525, 0.327], [0.034, 0.166, 0.417], [0.116, 0.047, 0.172], [0.127, 0.383, 0.097], [0.253, 0.182, 0.899], [0.255, 0.765, 0.815], [0.324, 0.796, 0.457], [0.360, 0.700, 0.072], [0.376, 0.371, 0.732], [0.402, 0.339, 0.346], [0.483, 0.070, 0.755], [0.517, 0.930, 0.245], [0.598, 0.661, 0.654], [0.624, 0.629, 0.268], [0.640, 0.300, 0.928], [0.676, 0.204, 0.543], [0.745, 0.235, 0.185], [0.747, 0.818, 0.101], [0.873, 0.617, 0.903], [0.884, 0.953, 0.828], [0.966, 0.834, 0.583], [0.977, 0.475, 0.673]],
  "energy_ev_per_cell": -273.744,
  "spacegroup": "P-1 (2)"
}